GGA-PBE PrYNi4, optimized geometry; space-group type = F-43m; total DFT energy (no corrections) = -6.0713 eV per atom; calculated formation energy = -343 meV per atom
1.0
0.000 3.648 3.648
3.648 0.000 3.648
3.648 3.648 0.000
Pr Y Ni
1 1 4
direct
0.000 0.000 0.000 Pr
0.250 0.250 0.250 Y
0.126 0.625 0.625 Ni
0.625 0.126 0.625 Ni
0.625 0.625 0.126 Ni
0.625 0.625 0.625 Ni


GGA-PBE CsHfMg6, optimized geometry; space-group type = Amm2; total DFT energy (no corrections) = -2.2014 eV per atom; distance to the lowest polymorph of the same formula = 0.0000 eV/atom; calculated formation energy = 355 meV per atom
1.0
4.618 0.000 0.000
0.000 4.916 4.933
0.000 -4.916 4.933
Cs Hf Mg
1 1 6
direct
0.000 0.000 0.000 Cs
0.000 0.503 0.503 Hf
0.000 0.008 0.500 Mg
0.000 0.500 0.008 Mg
0.500 0.291 0.291 Mg
0.500 0.293 0.718 Mg
0.500 0.714 0.714 Mg
0.500 0.718 0.293 Mg


GGA-PBE BaCaNb4O12, optimized geometry; space-group type = Cmmm; total DFT energy (no corrections) = -8.4256 eV per atom; calculated formation energy = -3122 meV per atom
1.0
4.024 -4.028 0.000
4.024 4.028 0.000
0.000 0.000 8.045
Ba Ca Nb O
1 1 4 12
direct
0.000 0.000 0.000 Ba
0.500 0.500 0.500 Ca
0.000 0.500 0.253 Nb
0.000 0.500 0.747 Nb
0.500 0.000 0.253 Nb
0.500 0.000 0.747 Nb
0.000 0.500 0.000 O
0.000 0.500 0.500 O
0.245 0.755 0.255 O
0.245 0.755 0.745 O
0.261 0.261 0.257 O
0.261 0.261 0.743 O
0.500 0.000 0.000 O
0.500 0.000 0.500 O
0.739 0.739 0.257 O
0.739 0.739 0.743 O
0.755 0.245 0.255 O
0.755 0.245 0.745 O


GGA-PBE Mg14BiMo, optimized geometry; space-group type = P-6m2; total DFT energy (no corrections) = -2.2459 eV per atom; distance to the lowest polymorph of the same formula = 0.0000 eV/atom; calculated formation energy = 75 meV per atom
1.0
6.301 0.000 0.000
-3.150 5.457 0.000
0.000 0.000 10.324
Mg Bi Mo
14 1 1
direct
0.000 0.000 0.248 Mg
0.000 0.000 0.752 Mg
0.009 0.504 0.234 Mg
0.009 0.504 0.766 Mg
0.331 0.166 0.000 Mg
0.334 0.167 0.500 Mg
0.496 0.504 0.234 Mg
0.496 0.504 0.766 Mg
0.496 0.991 0.234 Mg
0.496 0.991 0.766 Mg
0.833 0.167 0.500 Mg
0.833 0.666 0.500 Mg
0.834 0.166 0.000 Mg
0.834 0.669 0.000 Mg
0.333 0.667 0.500 Bi
0.333 0.667 0.000 Mo


GGA-PBE Na3Re2N5, optimized geometry; space-group type = I4_1; total DFT energy (no corrections) = -7.2298 eV per atom; calculated formation energy = -356 meV per atom
1.0
-6.301 6.301 4.332
6.301 -6.301 4.332
6.301 6.301 -4.332
Na Re N
12 8 20
direct
0.000 0.000 0.000 Na
0.050 0.925 0.680 Na
0.120 0.300 0.625 Na
0.174 0.674 0.500 Na
0.245 0.370 0.320 Na
0.424 0.424 0.000 Na
0.434 0.815 0.236 Na
0.565 0.829 0.881 Na
0.579 0.198 0.764 Na
0.675 0.495 0.375 Na
0.750 0.250 0.500 Na
0.948 0.684 0.119 Na
0.307 0.089 0.441 Re
0.360 0.067 0.118 Re
0.616 0.557 0.719 Re
0.647 0.866 0.559 Re
0.817 0.200 0.207 Re
0.839 0.897 0.281 Re
0.950 0.242 0.882 Re
0.992 0.610 0.793 Re
0.013 0.443 0.818 N
0.086 0.192 0.850 N
0.095 0.057 0.341 N
0.193 0.875 0.929 N
0.269 0.976 0.566 N
0.304 0.965 0.262 N
0.342 0.236 0.150 N
0.410 0.703 0.434 N
0.453 0.519 0.793 N
0.504 0.345 0.538 N
0.625 0.195 0.182 N
0.702 0.042 0.738 N
0.715 0.952 0.161 N
0.716 0.754 0.659 N
0.726 0.660 0.207 N
0.792 0.554 0.839 N
0.807 0.966 0.462 N
0.942 0.592 0.606 N
0.945 0.263 0.071 N
0.986 0.336 0.394 N


GGA-PBE Y4CdPt, optimized geometry; space-group type = F-43m; total DFT energy (no corrections) = -6.0864 eV per atom; calculated formation energy = -610 meV per atom
1.0
0.000 6.886 6.886
6.886 0.000 6.886
6.886 6.886 0.000
Y Cd Pt
16 4 4
direct
0.185 0.185 0.815 Y
0.185 0.815 0.185 Y
0.185 0.815 0.815 Y
0.398 0.398 0.398 Y
0.398 0.398 0.807 Y
0.398 0.807 0.398 Y
0.561 0.561 0.939 Y
0.561 0.939 0.561 Y
0.561 0.939 0.939 Y
0.807 0.398 0.398 Y
0.815 0.185 0.185 Y
0.815 0.185 0.815 Y
0.815 0.815 0.185 Y
0.939 0.561 0.561 Y
0.939 0.561 0.939 Y
0.939 0.939 0.561 Y
0.168 0.168 0.168 Cd
0.168 0.168 0.496 Cd
0.168 0.496 0.168 Cd
0.496 0.168 0.168 Cd
0.180 0.607 0.607 Pt
0.607 0.180 0.607 Pt
0.607 0.607 0.180 Pt
0.607 0.607 0.607 Pt


GGA-PBE AgTeO3, optimized geometry; space-group type = P2_1/m; total DFT energy (no corrections) = -4.8801 eV per atom; calculated formation energy = -1128 meV per atom
1.0
5.529 0.000 0.000
0.000 7.529 0.000
-1.357 0.000 6.923
Ag Te O
4 4 12
direct
0.000 0.000 0.000 Ag
0.000 0.500 0.000 Ag
0.443 0.250 0.186 Ag
0.557 0.750 0.814 Ag
0.000 0.000 0.500 Te
0.000 0.500 0.500 Te
0.481 0.750 0.317 Te
0.519 0.250 0.683 Te
0.105 0.750 0.563 O
0.231 0.012 0.326 O
0.231 0.488 0.326 O
0.261 0.064 0.723 O
0.261 0.436 0.723 O
0.336 0.750 0.055 O
0.664 0.250 0.945 O
0.739 0.564 0.277 O
0.739 0.936 0.277 O
0.769 0.512 0.674 O
0.769 0.988 0.674 O
0.895 0.250 0.437 O


GGA-PBE CuAuO2, optimized geometry; space-group type = R-3m; total DFT energy (no corrections) = -4.6489 eV per atom; calculated formation energy = -675 meV per atom
1.0
1.517 0.876 6.134
-1.517 0.876 6.134
0.000 -1.752 6.134
Cu Au O
1 1 2
direct
0.000 0.000 0.000 Cu
0.500 0.500 0.500 Au
0.389 0.389 0.389 O
0.611 0.611 0.611 O


GGA-PBE Na6Zr4Si5SO24, optimized geometry; space-group type = P1; total DFT energy (no corrections) = -7.4407 eV per atom; calculated formation energy = -3049 meV per atom
1.0
9.231 0.000 0.000
-4.607 8.000 0.000
-0.027 -0.027 23.092
Na Zr Si S O
18 12 15 3 72
direct
0.000 0.000 0.000 Na
0.000 0.365 0.498 Na
0.030 0.700 0.583 Na
0.031 0.700 0.081 Na
0.033 0.342 0.831 Na
0.065 0.394 0.165 Na
0.335 0.036 0.165 Na
0.354 0.348 0.250 Na
0.369 0.005 0.496 Na
0.369 0.732 0.998 Na
0.373 0.385 0.748 Na
0.391 0.698 0.331 Na
0.681 0.025 0.914 Na
0.698 0.666 0.163 Na
0.701 0.404 0.661 Na
0.704 0.049 0.412 Na
0.728 0.361 0.998 Na
0.729 0.725 0.501 Na
0.024 0.682 0.729 Zr
0.035 0.690 0.933 Zr
0.037 0.694 0.433 Zr
0.043 0.701 0.229 Zr
0.355 0.350 0.396 Zr
0.359 0.374 0.600 Zr
0.365 0.364 0.099 Zr
0.380 0.376 0.896 Zr
0.694 0.021 0.767 Zr
0.699 0.033 0.064 Zr
0.702 0.046 0.266 Zr
0.708 0.031 0.563 Zr
0.033 0.400 0.332 Si
0.072 0.362 0.996 Si
0.075 0.071 0.499 Si
0.328 0.699 0.832 Si
0.330 0.995 0.331 Si
0.364 0.072 0.998 Si
0.368 0.660 0.495 Si
0.409 0.739 0.166 Si
0.655 0.364 0.500 Si
0.662 0.661 0.999 Si
0.698 0.328 0.164 Si
0.700 0.735 0.664 Si
0.733 0.398 0.831 Si
0.991 0.030 0.165 Si
0.994 0.321 0.666 Si
0.033 0.990 0.831 S
0.406 0.031 0.665 S
0.739 0.698 0.331 S
0.005 0.506 0.670 O
0.006 0.861 0.171 O
0.009 0.492 0.389 O
0.011 0.892 0.885 O
0.047 0.883 0.491 O
0.051 0.905 0.780 O
0.054 0.531 0.992 O
0.055 0.519 0.275 O
0.156 0.194 0.443 O
0.158 0.331 0.940 O
0.177 0.197 0.160 O
0.178 0.339 0.661 O
0.180 0.160 0.835 O
0.190 0.396 0.054 O
0.195 0.887 0.991 O
0.199 0.678 0.492 O
0.200 0.158 0.554 O
0.203 0.676 0.777 O
0.213 0.404 0.335 O
0.215 0.904 0.273 O
0.221 0.720 0.170 O
0.234 0.877 0.388 O
0.238 0.884 0.671 O
0.241 0.723 0.891 O
0.326 0.519 0.835 O
0.330 0.534 0.551 O
0.332 0.153 0.057 O
0.352 0.182 0.336 O
0.386 0.552 0.160 O
0.397 0.198 0.944 O
0.398 0.187 0.660 O
0.404 0.579 0.438 O
0.481 0.006 0.611 O
0.493 0.857 0.109 O
0.507 0.992 0.327 O
0.514 0.863 0.826 O
0.516 0.054 0.715 O
0.526 0.824 0.223 O
0.529 0.847 0.504 O
0.530 0.344 0.159 O
0.531 0.051 0.003 O
0.531 0.332 0.445 O
0.536 0.571 0.944 O
0.540 0.542 0.661 O
0.548 0.378 0.835 O
0.569 0.548 0.335 O
0.574 0.396 0.558 O
0.580 0.543 0.057 O
0.663 0.202 0.218 O
0.675 0.197 0.505 O
0.675 0.833 0.719 O
0.678 0.846 0.004 O
0.718 0.844 0.605 O
0.719 0.848 0.327 O
0.733 0.220 0.826 O
0.735 0.247 0.106 O
0.821 0.679 0.279 O
0.826 0.516 0.774 O
0.839 0.717 0.384 O
0.841 0.532 0.492 O
0.848 0.682 0.991 O
0.854 0.493 0.888 O
0.863 0.514 0.172 O
0.868 0.214 0.327 O
0.870 0.718 0.670 O
0.873 0.236 0.609 O
0.877 0.998 0.106 O
0.881 0.009 0.827 O
0.885 0.197 0.003 O
0.888 0.054 0.505 O
0.896 0.062 0.219 O
0.896 0.210 0.723 O


GGA-PBE Ho2Co7B3, optimized geometry; space-group type = P6/mmm; total DFT energy (no corrections) = -6.9925 eV per atom; calculated formation energy = -412 meV per atom
1.0
4.999 0.000 0.000
-2.499 4.329 0.000
0.000 0.000 12.802
Ho Co B
4 14 6
direct
0.000 0.000 0.000 Ho
0.000 0.000 0.239 Ho
0.000 0.000 0.500 Ho
0.000 0.000 0.761 Ho
0.000 0.500 0.116 Co
0.000 0.500 0.346 Co
0.000 0.500 0.654 Co
0.000 0.500 0.884 Co
0.333 0.667 0.500 Co
0.500 0.000 0.116 Co
0.500 0.000 0.346 Co
0.500 0.000 0.654 Co
0.500 0.000 0.884 Co
0.500 0.500 0.116 Co
0.500 0.500 0.346 Co
0.500 0.500 0.654 Co
0.500 0.500 0.884 Co
0.667 0.333 0.500 Co
0.333 0.667 0.000 B
0.333 0.667 0.232 B
0.333 0.667 0.768 B
0.667 0.333 0.000 B
0.667 0.333 0.232 B
0.667 0.333 0.768 B


GGA-PBE PrClO2, optimized geometry; space-group type = P2_1/m; total DFT energy (no corrections) = -5.9145 eV per atom; distance to the lowest polymorph of the same formula = 0.0000 eV/atom; calculated formation energy = -2127 meV per atom
1.0
6.528 0.000 0.000
0.000 3.726 0.000
-1.794 0.000 6.538
Pr Cl O
2 2 4
direct
0.174 0.250 0.323 Pr
0.826 0.750 0.677 Pr
0.236 0.750 0.016 Cl
0.764 0.250 0.984 Cl
0.043 0.250 0.625 O
0.460 0.750 0.510 O
0.540 0.250 0.490 O
0.957 0.750 0.375 O


GGA-PBE Lu2Ga9Co3, optimized geometry; space-group type = Cmcm; total DFT energy (no corrections) = -4.5806 eV per atom; calculated formation energy = -465 meV per atom
1.0
6.348 -3.672 0.000
6.348 3.672 0.000
0.000 0.000 9.342
Lu Ga Co
4 18 6
direct
0.003 0.668 0.750 Lu
0.332 0.997 0.750 Lu
0.668 0.003 0.250 Lu
0.997 0.332 0.250 Lu
0.001 0.334 0.573 Ga
0.001 0.334 0.927 Ga
0.120 0.880 0.250 Ga
0.333 0.667 0.559 Ga
0.333 0.667 0.941 Ga
0.334 0.001 0.073 Ga
0.334 0.001 0.427 Ga
0.336 0.448 0.250 Ga
0.448 0.336 0.750 Ga
0.552 0.664 0.250 Ga
0.664 0.552 0.750 Ga
0.666 0.999 0.573 Ga
0.666 0.999 0.927 Ga
0.667 0.333 0.059 Ga
0.667 0.333 0.441 Ga
0.880 0.120 0.750 Ga
0.999 0.666 0.073 Ga
0.999 0.666 0.427 Ga
0.000 0.000 0.000 Co
0.000 0.000 0.500 Co
0.328 0.328 0.000 Co
0.328 0.328 0.500 Co
0.672 0.672 0.000 Co
0.672 0.672 0.500 Co